[1]
An optimized crystal structure of K8Li9Cr4O16. Source: the Materials Project database, functional GGA+U.

The crystal system is triclinic. The value obtained for the energy relative to the elements is -1972 meV/atom. For the energy with MP2020 corrections, the calculation gives -5.86 eV per atom.

Unit cell a=5.6078 b=9.1265 c=10.4847 alpha=88.31 beta=80.98 gamma=89.66
Last column: nearest neighbours and their distance in Å.
Positions (direct):
Li: 0.2894 0.4888 0.0697  4 O 2.00-2.06
Li: 0.8312 0.0150 0.5581  4 O 1.99-2.18
K: 0.1680 0.9916 0.1373  2 Li 2.75-2.88, 6 O 2.77-3.02
O: 0.6097 0.1815 0.6250  1 Cr 1.84, 1 Li 2.03
O: 0.6121 0.4227 0.1193  1 Cr 1.81, 1 Li 1.98
O: 0.8793 0.7100 0.8697  1 Cr 1.90, 2 Li 1.91-2.00
Li: 0.9280 0.2487 0.7013  4 O 1.99-2.17
Li: 0.5821 0.0281 0.3028  3 O 1.96-2.03
O: 0.1144 0.2929 0.1194  1 Cr 1.81, 1 Li 1.97
Li: 0.0824 0.7523 0.3041  3 O 1.97-2.06
Li: 0.7258 0.5168 0.9244  3 O 1.92-2.10
O: 0.6110 0.8220 0.6198  1 Cr 1.83, 1 Li 1.98
Cr: 0.6559 0.7898 0.4464  4 O 1.80-1.83
K: 0.6250 0.4930 0.6496  5 O 2.71-3.01, 2 Li 2.88-2.90
K: 0.1048 0.7294 0.6205  5 O 2.72-3.02, 1 Li 2.95
Cr: 0.3368 0.2023 0.5490  4 O 1.80-1.84
O: 0.8264 0.6237 0.4164  1 Cr 1.80
K: 0.6491 0.7281 0.1249  5 O 2.78-2.89, 1 Li 2.88
O: 0.8519 0.3025 0.8859  1 Cr 1.82, 1 Li 1.99
K: 0.8268 0.9971 0.8715  5 O 2.63-2.91, 2 Li 2.80-2.87
Li: 0.3859 0.9702 0.7064  3 O 1.88-1.98
O: 0.4007 0.2021 0.3749  1 Cr 1.80, 2 Li 1.95-1.98
O: 0.1594 0.6846 0.1259  1 Cr 1.93, 2 Li 1.97-2.00
Cr: 0.1702 0.7132 0.9417  4 O 1.90-1.95
O: 0.4088 0.5645 0.8890  3 Li 1.92-2.04, 1 Cr 1.93
O: 0.3187 0.8989 0.8782  2 Li 1.88-2.06, 1 Cr 1.95
O: 0.8529 0.9390 0.3753  1 Cr 1.82, 2 Li 1.96-2.04
Li: 0.4117 0.2533 0.1923  4 O 1.95-2.01
Cr: 0.8282 0.2824 0.0604  4 O 1.81-1.83
O: 0.1844 0.3722 0.5912  1 Cr 1.80
Li: 0.5808 0.7490 0.8090  4 O 1.91-2.06
K: 0.8910 0.2848 0.3741  4 O 2.77-2.98, 1 Li 3.07
K: 0.3531 0.2651 0.8697  5 O 2.77-2.86, 1 Li 2.95
K: 0.3589 0.5068 0.3524  5 O 2.71-3.01, 2 Li 2.80-2.89
O: 0.6722 0.1126 0.1202  1 Cr 1.83, 2 Li 2.01-2.03
O: 0.1201 0.0703 0.6343  1 Cr 1.83, 3 Li 1.98-2.03
O: 0.3980 0.8017 0.3644  1 Cr 1.80

---

[2]
An optimized crystal structure of KLi4CrO5. Source: the Materials Project database, functional GGA+U.

The value obtained for the energy relative to the elements is -2038 meV/atom. For the energy with MP2020 corrections, the calculation gives -5.96 eV per atom.

Unit cell a=5.6083 b=9.3707 c=10.2927 alpha=116.76 beta=81.11 gamma=99.97
Last column: nearest neighbours and their distance in Å.
Positions (direct):
O: 0.3678 0.5914 0.6790  1 Cr 1.90, 4 Li 1.93-2.04
Li: 0.3933 0.0604 0.9357  5 O 1.97-2.08
O: 0.1683 0.2159 0.9457  1 Cr 1.85, 3 Li 1.91-2.05
O: 0.0394 0.9509 0.3318  1 Cr 1.71
O: 0.5394 0.4509 0.8318  1 Cr 1.71
O: 0.3317 0.2840 0.5542  1 Cr 1.85, 3 Li 1.91-2.05
Li: 0.1360 0.2348 0.1479  4 O 1.93-2.03
Li: 0.6067 0.9396 0.0643  5 O 1.97-2.08
Li: 0.4718 0.3498 0.9746  4 O 1.89-2.04
O: 0.8678 0.0914 0.1790  1 Cr 1.90, 4 Li 1.93-2.04
Li: 0.8933 0.5604 0.4357  5 O 1.97-2.08
Li: 0.1067 0.4396 0.5643  5 O 1.97-2.08
Li: 0.3387 0.7787 0.8637  4 O 1.93-2.04
Li: 0.1613 0.7213 0.6363  4 O 1.93-2.04
Li: 0.5282 0.6502 0.0255  4 O 1.89-2.04
Li: 0.3640 0.2652 0.3521  4 O 1.93-2.03
Li: 0.8387 0.2788 0.3637  4 O 1.93-2.04
O: 0.8373 0.5865 0.6467  1 Cr 1.88, 5 Li 1.93-2.05
O: 0.4606 0.5491 0.1682  1 Cr 1.71
O: 0.1322 0.9086 0.8210  1 Cr 1.90, 4 Li 1.93-2.04
O: 0.6627 0.9134 0.8532  1 Cr 1.88, 5 Li 1.93-2.05
O: 0.3373 0.0866 0.1468  1 Cr 1.88, 5 Li 1.93-2.05
Li: 0.6613 0.2213 0.1363  4 O 1.93-2.04
Cr: 0.5710 0.4386 0.6590  5 O 1.71-1.90
Li: 0.0282 0.1502 0.5254  4 O 1.89-2.04
Li: 0.8640 0.7652 0.8521  4 O 1.93-2.03
O: 0.1627 0.4134 0.3532  1 Cr 1.88, 5 Li 1.93-2.05
O: 0.6682 0.7159 0.4457  1 Cr 1.85, 3 Li 1.91-2.05
K: 0.0261 0.4165 0.8293  2 Li 2.79-3.00, 8 O 2.80-3.06, 1 K 3.13
Cr: 0.4290 0.5614 0.3411  5 O 1.71-1.90
O: 0.7117 0.2153 0.9433  1 Cr 1.88, 3 Li 1.89-2.08
K: 0.9740 0.5835 0.1707  2 Li 2.79-3.00, 8 O 2.80-3.06, 1 K 3.13
Li: 0.6360 0.7348 0.6479  4 O 1.93-2.03
Li: 0.9718 0.8498 0.4745  4 O 1.89-2.04
O: 0.8317 0.7841 0.0543  1 Cr 1.85, 3 Li 1.91-2.05
O: 0.2883 0.7847 0.0567  1 Cr 1.88, 3 Li 1.89-2.08
Cr: 0.0710 0.9386 0.1589  5 O 1.71-1.90
Cr: 0.9290 0.0614 0.8411  5 O 1.71-1.90
O: 0.6322 0.4086 0.3210  1 Cr 1.90, 4 Li 1.93-2.03
O: 0.2117 0.7153 0.4433  1 Cr 1.88, 3 Li 1.89-2.08
O: 0.7883 0.2846 0.5567  1 Cr 1.88, 3 Li 1.89-2.08
K: 0.5261 0.9165 0.3293  2 Li 2.79-3.00, 8 O 2.80-3.06, 1 K 3.13
K: 0.4740 0.0835 0.6707  2 Li 2.79-3.00, 8 O 2.80-3.06, 1 K 3.13
O: 0.9606 0.0491 0.6682  1 Cr 1.71